[1]
Computed, not measured: MgCu2O2 after structural relaxation at the PBE-GGA level of DFT.

Formation energy in eV/atom: -1.36
Energy relative to the lowest polymorph listed for this composition in meV per atom: 66
Total energy in eV/atom: -5.02

The structure in extended XYZ format:
```
5
Lattice="0.7374 2.4662 1.9412 -3.2758 -0.3716 6.8872 2.5710 -0.1268 1.9412" Properties=species:S:1:pos:R:3 pbc="T T T"
Mg 0.3390 0.2397 2.0201
Cu 0.1109 0.0784 7.6663
Cu -0.0211 -0.0149 5.1076
O 1.0690 0.7559 3.7662
O -1.7835 0.6837 7.5261
```

---

[2]
Computed, not measured: MgCu2O2 after structural relaxation at the PBE-GGA level of DFT.

Formation energy in eV/atom: -1.19
Energy relative to the lowest polymorph listed for this composition in meV per atom: 232
Total energy in eV/atom: -4.85

The structure in extended XYZ format:
```
5
Lattice="0.6270 -2.8586 0.0972 -1.4771 -0.4105 -2.4948 5.4205 -0.3730 -4.7524" Properties=species:S:1:pos:R:3 pbc="T T T"
Mg 1.6631 -2.5806 -1.4839
Cu 2.4607 -0.9724 -3.9271
Cu 4.1765 -2.1074 -6.3919
O 0.6107 -1.3562 -2.7803
O 3.8702 -2.1817 -4.4800
```

---

[3]
Computed, not measured: MgCu4O8 after structural relaxation at the PBE-GGA level of DFT.

Formation energy in eV/atom: -0.81
Energy relative to the lowest polymorph listed for this composition in meV per atom: 212
Total energy in eV/atom: -4.82

The structure in extended XYZ format:
```
13
Lattice="-1.8868 -2.3831 -4.5266 4.4785 -6.3207 -1.8345 -0.0068 -7.9445 0.8186" Properties=species:S:1:pos:R:3 pbc="T T T"
Mg 0.9835 -6.2361 -2.0851
Cu 1.5248 -8.7561 -2.6326
Cu 3.3043 -11.0495 -3.8226
Cu 0.5779 -9.9543 -4.9074
Cu 1.0483 -11.8627 -2.4891
O 2.1515 -9.1742 -4.3300
O 1.6733 -11.8199 -4.2356
O 0.7844 -8.0158 -1.0862
O 2.6971 -7.3530 -2.2219
O 0.5938 -4.2982 -1.5372
O -0.1989 -5.3015 -3.4739
O 0.1345 -9.8792 -3.1077
O 2.4967 -10.7566 -2.1755
```

---

[4]
Computed, not measured: MgCu2O4 after structural relaxation at the PBE-GGA level of DFT.

Formation energy in eV/atom: -1.50
Energy relative to the lowest polymorph listed for this composition in meV per atom: 0
Total energy in eV/atom: -5.33

The structure in extended XYZ format:
```
28
Lattice="-1.8599 2.2485 -1.0308 -0.3340 -4.0412 -8.2124 -7.9441 -5.2408 2.9020" Properties=species:S:1:pos:R:3 pbc="T T T"
Mg -8.4156 -3.5101 -0.4841
Mg -7.0422 -4.5144 -5.1530
Mg -3.0959 -2.5190 -1.1881
Mg -1.7224 -3.5233 -5.8571
Cu -5.5429 -2.7333 0.8557
Cu -7.8615 -6.1733 -2.4645
Cu -4.4749 -2.8451 -4.2400
Cu -7.9818 -7.6283 -5.4213
Cu -4.5952 -4.3001 -7.1969
Cu -5.6632 -4.1884 -2.1011
Cu -2.2766 -0.8601 -3.8767
Cu -2.1563 0.5949 -0.9198
O -4.9123 -2.5172 -2.4691
O -5.2258 -4.5162 -3.8720
O -7.9749 -3.7149 -2.9549
O -8.4056 -5.7164 -0.7528
O -8.3170 -4.6451 1.4244
O -7.2567 -6.4163 -4.2084
O -1.7325 -1.3170 -5.5884
O -3.8211 -3.1474 -5.9567
O -7.8079 -1.6943 1.1513
O -2.1632 -3.3186 -3.3863
O -4.8237 -1.4459 -0.2919
O -2.8814 -0.6171 -2.1328
O -6.3170 -3.8860 -0.3844
O -1.9961 -1.2980 0.7199
O -1.8211 -2.3884 -7.7656
O -5.3144 -5.5876 -6.0492
```

---

[5]
Computed, not measured: MgCu2O4 after structural relaxation at the PBE-GGA level of DFT.

Formation energy in eV/atom: -1.42
Energy relative to the lowest polymorph listed for this composition in meV per atom: 75
Total energy in eV/atom: -5.26

The structure in extended XYZ format:
```
42
Lattice="5.9444 0.0002 0.0003 2.9723 5.1478 0.0002 8.9175 5.1481 14.4330" Properties=species:S:1:pos:R:3 pbc="T T T"
Mg 1.4862 0.8585 0.7021
Mg 4.4586 2.5745 5.4918
Mg 7.4312 4.2902 4.8304
Mg 7.4312 4.2902 10.2864
Mg 4.4577 2.5733 0.0161
Mg 13.3758 7.7221 8.9891
Cu 5.9362 3.4271 2.4088
Cu 4.4587 0.8676 2.4083
Cu 8.9119 5.1451 7.2113
Cu 2.9812 3.4271 2.4082
Cu 7.4312 2.5799 7.2112
Cu 10.4034 6.0061 9.6114
Cu 10.4031 6.0057 4.1396
Cu 11.8864 6.8623 12.0378
Cu 5.9499 5.1455 7.2110
Cu 13.3755 9.4410 12.0382
Cu 14.8644 6.8625 12.0382
Cu 16.3479 9.4378 13.7956
O 3.1061 1.7938 1.3283
O 4.4576 2.5746 3.5179
O 4.4594 4.1350 1.3300
O 5.8107 1.7951 1.3302
O 6.0679 3.5032 6.1377
O 6.0602 5.0794 3.4672
O 7.4300 4.2899 8.3098
O 7.4300 2.7081 3.4670
O 7.4319 4.2892 1.2645
O 7.4314 5.8647 6.1377
O 8.7945 3.5034 6.1377
O 8.8011 5.0805 3.4691
O 9.0694 5.2349 10.8749
O 9.0647 6.7780 8.3322
O 10.4025 4.4608 8.3320
O 10.4034 6.0058 13.1070
O 10.4046 6.0067 6.0558
O 10.4032 7.5474 10.8732
O 11.7375 5.2345 10.8741
O 11.7416 6.7786 8.3324
O 11.9821 8.5280 13.1285
O 13.3758 6.1119 13.1294
O 13.3751 7.7219 10.9868
O 14.7694 8.5278 13.1282
```

---

[6]
Computed, not measured: MgCu2O2 after structural relaxation at the PBE-GGA level of DFT.

Formation energy in eV/atom: -1.42
Energy relative to the lowest polymorph listed for this composition in meV per atom: 0
Total energy in eV/atom: -5.09

The structure in extended XYZ format:
```
5
Lattice="0.4110 2.5302 2.1114 -2.8034 0.2572 6.9835 2.5224 -0.4559 2.1114" Properties=species:S:1:pos:R:3 pbc="T T T"
Mg 0.3941 0.2787 2.2427
Cu 0.0240 0.0170 7.6626
Cu -0.0953 -0.0674 5.0761
O 1.1651 0.8238 4.0193
O -1.0811 1.4751 8.0404
```

---

[7]
Computed, not measured: MgCu2O4 after structural relaxation at the PBE-GGA level of DFT.

Formation energy in eV/atom: -1.29
Energy relative to the lowest polymorph listed for this composition in meV per atom: 206
Total energy in eV/atom: -5.13

The structure in extended XYZ format:
```
14
Lattice="1.4399 7.1903 0.0000 -1.4399 7.1903 0.0000 0.0000 4.6910 7.3627" Properties=species:S:1:pos:R:3 pbc="T T T"
Mg 0.0000 13.7158 6.1145
Mg 0.0000 5.3559 1.2482
Cu 0.0000 9.4410 5.9617
Cu 0.0000 14.5159 3.5124
Cu 0.0000 4.5558 3.8502
Cu 0.0000 9.6306 1.4010
O 0.0000 3.3968 2.2801
O 0.0000 11.2580 4.9670
O 0.0000 7.9173 2.4228
O 0.0000 15.6748 5.0826
O 0.0000 17.0796 7.1964
O 0.0000 6.3923 4.7296
O 0.0000 1.9921 0.1663
O 0.0000 12.6793 2.6330
```

---

[8]
Computed, not measured: MgCu2O2 after structural relaxation at the PBE-GGA level of DFT.

Formation energy in eV/atom: -1.41
Energy relative to the lowest polymorph listed for this composition in meV per atom: 14
Total energy in eV/atom: -5.07

The structure in extended XYZ format:
```
5
Lattice="2.0595 2.1620 0.6443 3.5949 -3.8202 0.6240 -2.2655 -0.0503 -6.0097" Properties=species:S:1:pos:R:3 pbc="T T T"
Mg 1.7975 -1.9101 0.3120
Cu 0.6647 -1.9353 -2.6928
Cu 1.0297 1.0810 0.3222
O 2.3182 -0.0662 -0.2886
O 1.0707 -1.6424 -4.4528
```

---

[9]
Computed, not measured: MgCu2O4 after structural relaxation at the PBE-GGA level of DFT.

Formation energy in eV/atom: -1.42
Energy relative to the lowest polymorph listed for this composition in meV per atom: 75
Total energy in eV/atom: -5.26

The structure in extended XYZ format:
```
56
Lattice="2.9817 5.0920 0.0000 -2.9817 5.0920 0.0000 0.0000 3.4926 19.3660" Properties=species:S:1:pos:R:3 pbc="T T T"
Mg 0.0000 6.6687 0.5336
Mg 0.0000 1.7008 2.4197
Mg 0.0000 10.0947 5.4579
Mg 0.0000 5.1076 7.2614
Mg 0.0000 8.5454 12.0988
Mg 0.0000 6.8362 9.6741
Mg 0.0000 11.9789 16.9396
Mg 0.0000 10.2606 14.5274
Cu 1.4993 4.2580 2.4202
Cu 0.0000 3.4135 4.8547
Cu -1.4993 4.2580 2.4202
Cu 0.0000 3.3712 10.3566
Cu 1.5002 7.6691 7.2785
Cu 0.0000 6.8527 4.2522
Cu 0.0000 6.7884 15.1245
Cu -1.5002 7.6691 7.2785
Cu -1.4896 6.0015 12.1004
Cu 0.0000 10.3069 9.0710
Cu 1.4896 6.0015 12.1004
Cu 1.4905 9.4263 16.9164
Cu -1.4905 9.4263 16.9164
Cu 0.0000 3.5411 13.8597
Cu 0.0000 10.1854 0.0123
Cu 0.0000 6.9288 18.7541
O -1.6327 5.8040 1.2454
O 0.0000 10.1227 3.4577
O 1.6327 5.8040 1.2454
O 0.0000 8.5597 1.2247
O 0.0000 5.0752 3.6240
O 1.3374 4.1028 6.0984
O -1.6100 7.8191 3.6241
O 0.0000 3.3773 8.4251
O -1.3374 4.1028 6.0984
O 0.0000 3.5184 1.3868
O 0.0000 1.8213 6.1302
O 1.6100 7.8191 3.6241
O 1.4033 7.5549 10.9820
O 0.0000 8.5041 8.3580
O 1.4160 6.1029 8.3605
O 0.0000 6.7938 13.2136
O -1.4033 7.5549 10.9820
O 0.0000 6.8972 6.1814
O 0.0000 5.1998 10.9699
O -1.4160 6.1029 8.3605
O 0.0000 11.9047 13.2341
O -1.5591 5.9125 15.8242
O 1.4097 9.5367 13.2210
O 0.0000 10.1935 17.9236
O 1.5591 5.9125 15.8242
O 0.0000 10.2970 10.9809
O 0.0000 8.5733 15.7761
O -1.4097 9.5367 13.2210
O 0.0000 5.1246 18.1772
O -1.6156 7.8983 18.1553
O 0.0000 3.5726 15.8526
O 1.6156 7.8983 18.1553
```

---

[10]
Computed, not measured: MgCu2O4 after structural relaxation at the PBE-GGA level of DFT.

Formation energy in eV/atom: -1.40
Energy relative to the lowest polymorph listed for this composition in meV per atom: 96
Total energy in eV/atom: -5.24

The structure in extended XYZ format:
```
14
Lattice="2.9381 5.1844 0.0000 -2.9381 5.1844 0.0000 0.0000 3.3050 4.8528" Properties=species:S:1:pos:R:3 pbc="T T T"
Mg 0.0000 11.9836 4.2500
Mg 0.0000 1.6903 0.6028
Cu -1.4691 4.2447 2.4264
Cu 1.4691 4.2447 2.4264
Cu 0.0000 5.1844 0.0000
Cu 0.0000 6.8369 2.4264
O -1.3196 5.8927 1.2451
O 0.0000 5.1257 3.4704
O 0.0000 3.5167 1.3405
O -1.3196 7.7811 3.6077
O 0.0000 10.1572 3.5123
O 0.0000 8.5482 1.3824
O 1.3196 5.8927 1.2451
O 1.3196 7.7811 3.6077
```

---

[11]
Computed, not measured: MgCu2O4 after structural relaxation at the PBE-GGA level of DFT.

Formation energy in eV/atom: -1.41
Energy relative to the lowest polymorph listed for this composition in meV per atom: 93
Total energy in eV/atom: -5.24

The structure in extended XYZ format:
```
14
Lattice="-2.8418 2.8271 4.2813 -4.9554 -1.1820 -2.9061 3.5102 -4.4639 1.4662" Properties=species:S:1:pos:R:3 pbc="T T T"
Mg -0.7226 -2.8230 -0.7199
Mg -3.8986 0.8225 0.6876
Cu -3.8959 -1.7795 -1.6266
Cu -0.3911 -1.0394 4.4680
Cu -1.4209 1.4135 2.1407
Cu -2.1435 -1.4094 1.4207
O -3.3037 1.6904 2.4385
O -1.5751 -0.3793 3.0681
O -3.9678 -0.9041 1.7768
O -1.8768 0.3596 0.4735
O -2.4102 -3.1785 2.3680
O -2.7119 -2.4396 -0.2266
O -0.3192 -1.9147 1.0647
O -0.9833 -4.5093 0.4030
```

---

[12]
Computed, not measured: MgCu2O3 after structural relaxation at the PBE-GGA level of DFT.

Formation energy in eV/atom: -1.59
Total energy in eV/atom: -5.36

The structure in extended XYZ format:
```
12
Lattice="-1.4334 -2.5634 -1.3537 1.1659 -2.3067 3.1334 -8.0286 2.0966 4.5309" Properties=species:S:1:pos:R:3 pbc="T T T"
Mg -4.3174 -1.6896 2.9954
Mg -0.5473 -0.9788 -0.5169
Cu -7.3311 -1.5470 4.2218
Cu -1.9324 -2.9567 1.1751
Cu -5.5623 0.9751 2.7875
Cu -2.9323 0.2883 1.3033
O -2.3591 -0.7071 2.9900
O -4.8178 -0.0650 4.3775
O -2.5056 -1.9614 -0.5116
O -0.1227 -2.4154 0.9002
O -4.7420 -0.2531 1.5782
O -8.0755 -0.5069 2.6318
```

---

Look up the formation energy of the ninth one. -1.42 eV/atom